Entry 1:
# Hf9Re4O3 | the Materials Project | r²SCAN | relaxed
# - M_tot (μB per cell) = 0.00
# - VASP energy (eV/atom) = -40.95
# - crystal system = hexagonal
# - calculated formation energy (eV per atom) = -1.33
data_Hf9Re4O3
_chemical_formula_sum 'Hf18 Re8 O6'
_cell_length_a 8.4093
_cell_length_b 8.4093
_cell_length_c 8.4912
_cell_angle_alpha 90.00
_cell_angle_beta 90.00
_cell_angle_gamma 120.00
_symmetry_space_group_name_H-M 'P 63/m m c'
_symmetry_Int_Tables_number 194
_symmetry_space_group_name_Hall '-P 6c 2c'
loop_
_atom_site_label
_atom_site_fract_x
_atom_site_fract_y
_atom_site_fract_z
_atom_site_occupancy
Hf1 0.0960 0.5480 0.2500 1
Hf2 0.2019 0.4038 0.5614 1
Re1 0.0000 0.0000 0.0000 1
Re2 0.1102 0.2203 0.2500 1
O1 0.0000 0.5000 0.0000 1

Entry 2:
# HfSO | the Materials Project | r²SCAN | relaxed
# - M_tot (μB per cell) = 0.00
# - VASP energy (eV/atom) = -22.58
# - crystal system = cubic
# - calculated formation energy (eV per atom) = -2.86
data_HfSO
_chemical_formula_sum 'Hf4 S4 O4'
_cell_length_a 5.6597
_cell_length_b 5.6597
_cell_length_c 5.6597
_cell_angle_alpha 90.00
_cell_angle_beta 90.00
_cell_angle_gamma 90.00
_symmetry_space_group_name_H-M 'P 21 3'
_symmetry_Int_Tables_number 198
_symmetry_space_group_name_Hall 'P 2ac 2ab 3'
loop_
_atom_site_label
_atom_site_fract_x
_atom_site_fract_y
_atom_site_fract_z
_atom_site_occupancy
Hf1 0.1795 0.3205 0.6795 1
S1 0.0816 0.0816 0.0816 1
O1 0.0951 0.5951 0.9049 1